CsGeI3: relaxed, GGA-PBE.

Cell: 6.0991 6.0991 6.0991 Å, 88.46 88.46 88.46°
With the nearest neighbours (Å) after each atom.
Sites, in units of the cell vectors:
Cs (0.0000, 0.0000, 0.0000)  12 I 4.26-4.41
Ge (0.4684, 0.4684, 0.4684)  3 I 2.80
I (0.0111, 0.5042, 0.5042)  1 Ge 2.80
I (0.5042, 0.0111, 0.5042)  1 Ge 2.80
I (0.5042, 0.5042, 0.0111)  1 Ge 2.80

## Properties
The largest piezoelectric modulus is 0.7 C/m². The formation energy from the elements comes out at -1.072 eV/atom. The energy comes out at -14.31 eV/cell.


BaZn: relaxed, GGA-PBE.

Cell: 4.1215 4.1215 4.1215 Å, 90.00 90.00 90.00°
With the nearest neighbours (Å) after each atom.
Sites, in units of the cell vectors:
Ba (0.0000, 0.0000, 0.0000)  8 Zn 3.57
Zn (0.5000, 0.5000, 0.5000)  8 Ba 3.57

## Properties
The formation energy from the elements comes out at -0.167 eV/atom. The energy comes out at -3.51 eV/cell.